This record from the Materials Project database describes a relaxed structure of BaMnO3. The functional is meta-GGA r2SCAN.

Properties
* VASP energy: -432.2 eV/cell
* volume: 13.95 Å³ per atom
* total magnetization: 0.60 μB per atom
* symmetry: No. 185

a b c (Å): 9.930 9.930 4.901
angles (deg): 90.00 90.00 120.00
Positions (direct):
Ba 0.000 0.334 0.000
Ba 0.000 0.666 0.500
Ba 0.334 0.000 0.000
Ba 0.334 0.334 0.500
Ba 0.666 0.000 0.500
Ba 0.666 0.666 0.000
Mn 0.000 0.000 0.312
Mn 0.000 0.000 0.812
Mn 0.333 0.667 0.209
Mn 0.333 0.667 0.709
Mn 0.667 0.333 0.209
Mn 0.667 0.333 0.709
O 0.000 0.147 0.564
O 0.000 0.853 0.064
O 0.147 0.000 0.564
O 0.147 0.147 0.064
O 0.186 0.519 0.458
O 0.186 0.667 0.958
O 0.333 0.519 0.958
O 0.333 0.814 0.458
O 0.481 0.667 0.458
O 0.481 0.814 0.958
O 0.519 0.186 0.458
O 0.519 0.333 0.958
O 0.667 0.186 0.958
O 0.667 0.481 0.458
O 0.814 0.333 0.458
O 0.814 0.481 0.958
O 0.853 0.000 0.064
O 0.853 0.853 0.564

This record from the Materials Project database describes a relaxed structure of Cs2Hg3S4. The functional is meta-GGA r2SCAN.

Properties
* VASP energy: -473.5 eV/cell
* volume: 30.28 Å³ per atom
* total magnetization: 0.00 μB per atom
* symmetry: No. 72

a b c (Å): 9.894 9.894 9.894
angles (deg): 142.59 106.89 85.13
Positions (direct):
Cs 0.121 0.242 0.363
Cs 0.379 0.742 0.121
Cs 0.621 0.258 0.879
Cs 0.879 0.758 0.637
Hg 0.094 0.250 0.844
Hg 0.250 0.750 0.500
Hg 0.406 0.250 0.156
Hg 0.594 0.750 0.844
Hg 0.750 0.250 0.500
Hg 0.906 0.750 0.156
S 0.011 0.421 0.146
S 0.225 0.079 0.591
S 0.275 0.866 0.854
S 0.489 0.634 0.409
S 0.511 0.366 0.591
S 0.725 0.134 0.146
S 0.775 0.921 0.409
S 0.989 0.579 0.854

This record from the Materials Project database describes a relaxed structure of Lu2O3. The functional is meta-GGA r2SCAN.

Properties
* VASP energy: -915.1 eV/cell
* volume: 13.51 Å³ per atom
* total magnetization: 0.00 μB per atom
* symmetry: No. 206

a b c (Å): 8.887 8.887 8.887
angles (deg): 109.47 109.47 109.47
Positions (direct):
Lu 0.000 0.000 0.000
Lu 0.000 0.500 0.500
Lu 0.033 0.783 0.250
Lu 0.217 0.750 0.967
Lu 0.250 0.033 0.783
Lu 0.250 0.533 0.283
Lu 0.283 0.250 0.533
Lu 0.467 0.717 0.750
Lu 0.500 0.000 0.500
Lu 0.500 0.500 0.000
Lu 0.533 0.283 0.250
Lu 0.717 0.750 0.467
Lu 0.750 0.467 0.717
Lu 0.750 0.967 0.217
Lu 0.783 0.250 0.033
Lu 0.967 0.217 0.750
O 0.012 0.468 0.739
O 0.032 0.044 0.271
O 0.044 0.271 0.032
O 0.227 0.456 0.488
O 0.229 0.273 0.761
O 0.239 0.771 0.727
O 0.261 0.988 0.532
O 0.271 0.032 0.044
O 0.273 0.761 0.229
O 0.456 0.488 0.227
O 0.468 0.739 0.012
O 0.488 0.227 0.456
O 0.512 0.773 0.544
O 0.532 0.261 0.988
O 0.544 0.512 0.773
O 0.727 0.239 0.771
O 0.729 0.968 0.956
O 0.739 0.012 0.468
O 0.761 0.229 0.273
O 0.771 0.727 0.239
O 0.773 0.544 0.512
O 0.956 0.729 0.968
O 0.968 0.956 0.729
O 0.988 0.532 0.261